Arrangement P

# LiVOF3 | Materials Project | PBE+U | relaxed
# - spin magnetization (μB/f.u.) = 1.00
# - SG = No. 14
data_LiVOF3
_space_group_name_H-M_alt 'P 1'
_space_group_IT_number 1
_space_group_name_Hall 'P 1'
_cell_length_a 4.5079
_cell_length_b 4.7959
_cell_length_c 12.6334
_cell_angle_alpha 90.00
_cell_angle_beta 110.42
_cell_angle_gamma 90.00
loop_
_atom_site_label
_atom_site_fract_x
_atom_site_fract_y
_atom_site_fract_z
Li1 0.0487 0.2462 0.0566
Li2 0.0487 0.2538 0.5566
Li3 0.9513 0.7462 0.4434
Li4 0.9513 0.7538 0.9434
V1 0.3458 0.2198 0.3185
V2 0.3458 0.2802 0.8185
V3 0.6542 0.7198 0.1815
V4 0.6542 0.7802 0.6815
O1 0.4357 0.0567 0.6977
O2 0.4357 0.4433 0.1977
O3 0.5643 0.5567 0.8023
O4 0.5643 0.9433 0.3023
F1 0.0435 0.5650 0.3042
F2 0.0435 0.9350 0.8042
F3 0.1837 0.0911 0.4311
F4 0.1837 0.4089 0.9311
F5 0.3276 0.5838 0.5676
F6 0.3276 0.9162 0.0676
F7 0.6724 0.0838 0.9324
F8 0.6724 0.4162 0.4324
F9 0.8163 0.5911 0.0689
F10 0.8163 0.9089 0.5689
F11 0.9565 0.0650 0.1958
F12 0.9565 0.4350 0.6958

***

Arrangement Q

# LiVOF3 | Materials Project | PBE+U | relaxed
# - spin magnetization (μB/f.u.) = 1.00
# - SG = No. 30
data_LiVOF3
_space_group_name_H-M_alt 'P 1'
_space_group_IT_number 1
_space_group_name_Hall 'P 1'
_cell_length_a 4.9889
_cell_length_b 5.1673
_cell_length_c 11.5395
_cell_angle_alpha 90.00
_cell_angle_beta 90.00
_cell_angle_gamma 90.00
loop_
_atom_site_label
_atom_site_fract_x
_atom_site_fract_y
_atom_site_fract_z
Li1 0.0000 0.0000 0.0000
Li2 0.0000 0.0000 0.4077
Li3 0.0000 0.5000 0.5000
Li4 0.0000 0.5000 0.9077
V1 0.0000 0.0000 0.6949
V2 0.0000 0.5000 0.1949
V3 0.5000 0.0000 0.8303
V4 0.5000 0.5000 0.3303
O1 0.1940 0.1973 0.8034
O2 0.1940 0.3027 0.3034
O3 0.8060 0.6973 0.3034
O4 0.8060 0.8027 0.8034
F1 0.1373 0.2061 0.5695
F2 0.1373 0.2939 0.0695
F3 0.3117 0.7090 0.4378
F4 0.3117 0.7910 0.9378
F5 0.3147 0.7189 0.2054
F6 0.3147 0.7811 0.7054
F7 0.6853 0.2189 0.7054
F8 0.6853 0.2811 0.2054
F9 0.6883 0.2090 0.9378
F10 0.6883 0.2910 0.4378
F11 0.8627 0.7061 0.0695
F12 0.8627 0.7939 0.5695

***

Stability, lowest: arrangement Q

***

Arrangement P

# LiVOF3 | Materials Project | PBE+U | relaxed
# - spin magnetization (μB/f.u.) = 1.00
# - SG = No. 1
data_LiVOF3
_space_group_name_H-M_alt 'P 1'
_space_group_IT_number 1
_space_group_name_Hall 'P 1'
_cell_length_a 7.8613
_cell_length_b 7.9403
_cell_length_c 10.7011
_cell_angle_alpha 71.62
_cell_angle_beta 71.44
_cell_angle_gamma 81.74
loop_
_atom_site_label
_atom_site_fract_x
_atom_site_fract_y
_atom_site_fract_z
Li1 0.0000 0.0000 0.0000
Li2 0.0034 0.0024 0.5014
Li3 0.1847 0.8017 0.2476
Li4 0.2071 0.7928 0.7504
Li5 0.3462 0.5403 0.4445
Li6 0.5051 0.5018 0.9987
Li7 0.6915 0.2959 0.7490
Li8 0.7005 0.2971 0.2520
V1 0.1514 0.2130 0.7007
V2 0.1552 0.2204 0.1976
V3 0.4267 0.9440 0.4477
V4 0.4276 0.9458 0.9481
V5 0.6545 0.7183 0.6975
V6 0.6551 0.7177 0.1989
V7 0.9179 0.4440 0.4513
V8 0.9266 0.4444 0.9478
O1 0.0232 0.2634 0.5890
O2 0.0256 0.2655 0.0884
O3 0.4633 0.8092 0.3420
O4 0.4727 0.8157 0.8394
O5 0.5252 0.7729 0.5881
O6 0.5288 0.7680 0.0868
O7 0.9705 0.3124 0.8410
O8 0.9772 0.3213 0.3368
F1 0.0577 0.9898 0.3145
F2 0.0602 0.9809 0.8149
F3 0.1322 0.5774 0.8754
F4 0.1367 0.5808 0.3802
F5 0.1911 0.8544 0.0622
F6 0.1922 0.8496 0.5626
F7 0.2843 0.4180 0.6274
F8 0.2906 0.4232 0.1263
F9 0.2952 0.1424 0.8471
F10 0.2966 0.1439 0.3475
F11 0.3489 0.0840 0.5972
F12 0.3517 0.0869 0.0975
F13 0.5507 0.4872 0.3071
F14 0.5604 0.4874 0.8129
F15 0.6309 0.0775 0.3738
F16 0.6319 0.0797 0.8767
F17 0.6921 0.3542 0.0640
F18 0.6963 0.3473 0.5624
F19 0.7869 0.9233 0.1302
F20 0.7916 0.9199 0.6284
F21 0.7967 0.6420 0.8468
F22 0.7997 0.6437 0.3417
F23 0.8532 0.5870 0.0968
F24 0.8529 0.5877 0.5942

***

Arrangement Q

# LiVOF3 | Materials Project | PBE+U | relaxed
# - spin magnetization (μB/f.u.) = 0.00
# - SG = No. 14
data_LiVOF3
_space_group_name_H-M_alt 'P 1'
_space_group_IT_number 1
_space_group_name_Hall 'P 1'
_cell_length_a 7.6810
_cell_length_b 4.9501
_cell_length_c 7.3995
_cell_angle_alpha 90.00
_cell_angle_beta 102.78
_cell_angle_gamma 90.00
loop_
_atom_site_label
_atom_site_fract_x
_atom_site_fract_y
_atom_site_fract_z
Li1 0.1333 0.2474 0.3539
Li2 0.1333 0.2526 0.8539
Li3 0.8667 0.7474 0.1461
Li4 0.8667 0.7526 0.6461
V1 0.3292 0.7362 0.2017
V2 0.3292 0.7638 0.7017
V3 0.6708 0.2362 0.2983
V4 0.6708 0.2638 0.7983
O1 0.4567 0.0337 0.7936
O2 0.4567 0.4663 0.2936
O3 0.5433 0.5337 0.7064
O4 0.5433 0.9663 0.2064
F1 0.0979 0.5723 0.1968
F2 0.0979 0.9277 0.6968
F3 0.1972 0.0502 0.0925
F4 0.1972 0.4498 0.5925
F5 0.3053 0.5943 0.9409
F6 0.3053 0.9057 0.4409
F7 0.6947 0.0943 0.5591
F8 0.6947 0.4057 0.0591
F9 0.8028 0.5502 0.4075
F10 0.8028 0.9498 0.9075
F11 0.9021 0.0723 0.3032
F12 0.9021 0.4277 0.8032

***

Arrangement R

# LiVOF3 | Materials Project | PBE+U | relaxed
# - spin magnetization (μB/f.u.) = 1.00
data_LiVOF3
_space_group_name_H-M_alt 'P 1'
_space_group_IT_number 1
_space_group_name_Hall 'P 1'
_cell_length_a 5.8554
_cell_length_b 7.3540
_cell_length_c 8.0360
_cell_angle_alpha 81.03
_cell_angle_beta 70.58
_cell_angle_gamma 65.82
loop_
_atom_site_label
_atom_site_fract_x
_atom_site_fract_y
_atom_site_fract_z
F1 0.7928 0.1751 0.9504
F2 0.8127 0.4676 0.2107
F3 0.2321 0.7813 0.0438
F4 0.8462 0.6584 0.4347
F5 0.1714 0.5672 0.8004
F6 0.3456 0.1582 0.9346
F7 0.1921 0.0952 0.3064
F8 0.3130 0.9668 0.7104
F9 0.6927 0.5951 0.8063
F10 0.6709 0.0676 0.3003
F11 0.2935 0.6753 0.4507
F12 0.7315 0.2817 0.5438
Li1 0.9474 0.1163 0.7102
Li2 0.0287 0.6280 0.0451
Li3 0.5281 0.1280 0.5450
Li4 0.4472 0.6164 0.2107
O1 0.8022 0.8933 0.6866
O2 0.1316 0.3566 0.5546
O3 0.6315 0.8567 0.0547
O4 0.3018 0.3935 0.1866
V1 0.0001 0.3672 0.3838
V2 0.5004 0.8670 0.8838
V3 0.0089 0.6437 0.6232
V4 0.5085 0.1437 0.1232

***

Stability, lowest: arrangement R

***

Arrangement P

# LiVOF3 | Materials Project | PBE+U | relaxed
# - spin magnetization (μB/f.u.) = 0.00
# - SG = No. 29
data_LiVOF3
_space_group_name_H-M_alt 'P 1'
_space_group_IT_number 1
_space_group_name_Hall 'P 1'
_cell_length_a 7.1366
_cell_length_b 5.1762
_cell_length_c 8.1653
_cell_angle_alpha 90.00
_cell_angle_beta 90.00
_cell_angle_gamma 90.00
loop_
_atom_site_label
_atom_site_fract_x
_atom_site_fract_y
_atom_site_fract_z
Li1 0.1737 0.0471 0.0000
Li2 0.3263 0.0471 0.5000
Li3 0.6737 0.9529 0.0000
Li4 0.8263 0.9529 0.5000
V1 0.0059 0.4569 0.6803
V2 0.4941 0.4569 0.1803
V3 0.5059 0.5431 0.6803
V4 0.9941 0.5431 0.1803
O1 0.0418 0.3458 0.8672
O2 0.4582 0.3458 0.3672
O3 0.5418 0.6542 0.8672
O4 0.9582 0.6542 0.3672
F1 0.0652 0.1833 0.5306
F2 0.0996 0.2113 0.1982
F3 0.2438 0.6508 0.6312
F4 0.2562 0.6508 0.1312
F5 0.4004 0.2113 0.6982
F6 0.4348 0.1833 0.0306
F7 0.5652 0.8167 0.5306
F8 0.5996 0.7887 0.1982
F9 0.7438 0.3492 0.6312
F10 0.7562 0.3492 0.1312
F11 0.9004 0.7887 0.6982
F12 0.9348 0.8167 0.0306

***

Arrangement Q

# LiVOF3 | Materials Project | PBE+U | relaxed
# - spin magnetization (μB/f.u.) = 1.00
# - SG = No. 76
data_LiVOF3
_space_group_name_H-M_alt 'P 1'
_space_group_IT_number 1
_space_group_name_Hall 'P 1'
_cell_length_a 6.0826
_cell_length_b 6.0826
_cell_length_c 8.3882
_cell_angle_alpha 90.00
_cell_angle_beta 90.00
_cell_angle_gamma 90.00
loop_
_atom_site_label
_atom_site_fract_x
_atom_site_fract_y
_atom_site_fract_z
Li1 0.2465 0.7490 0.0000
Li2 0.2510 0.2465 0.2500
Li3 0.7490 0.7535 0.7500
Li4 0.7535 0.2510 0.5000
V1 0.2391 0.5006 0.6423
V2 0.4994 0.2391 0.8923
V3 0.5006 0.7609 0.3923
V4 0.7609 0.4994 0.1423
O1 0.2815 0.4825 0.8462
O2 0.4825 0.7185 0.5962
O3 0.5175 0.2815 0.0962
O4 0.7185 0.5175 0.3462
F1 0.0185 0.7137 0.6436
F2 0.0327 0.2857 0.5896
F3 0.2748 0.5092 0.3908
F4 0.2863 0.0185 0.8936
F5 0.2857 0.9673 0.3396
F6 0.4908 0.2748 0.6408
F7 0.5092 0.7252 0.1408
F8 0.7143 0.0327 0.8396
F9 0.7137 0.9815 0.3936
F10 0.7252 0.4908 0.8908
F11 0.9673 0.7143 0.0896
F12 0.9815 0.2863 0.1436

***

Stability, lowest: arrangement P

***

Arrangement P

# LiVOF3 | Materials Project | PBE+U | relaxed
# - spin magnetization (μB/f.u.) = 1.00
data_LiVOF3
_space_group_name_H-M_alt 'P 1'
_space_group_IT_number 1
_space_group_name_Hall 'P 1'
_cell_length_a 5.0374
_cell_length_b 6.0019
_cell_length_c 9.8281
_cell_angle_alpha 90.00
_cell_angle_beta 87.48
_cell_angle_gamma 90.00
loop_
_atom_site_label
_atom_site_fract_x
_atom_site_fract_y
_atom_site_fract_z
F1 0.1047 0.1444 0.8845
F2 0.6605 0.8544 0.8740
F3 0.6604 0.3545 0.3740
F4 0.1044 0.6444 0.3846
F5 0.8396 0.3545 0.6260
F6 0.4301 0.5945 0.1172
F7 0.4301 0.0946 0.6172
F8 0.3953 0.1444 0.1155
F9 0.3956 0.6444 0.6154
F10 0.8395 0.8544 0.1260
F11 0.0699 0.5945 0.8828
F12 0.0699 0.0946 0.3828
O1 0.9341 0.9118 0.5991
O2 0.9341 0.4117 0.0991
O3 0.5659 0.9118 0.4009
O4 0.5659 0.4117 0.9009
Li1 0.7676 0.1486 0.8016
Li2 0.7675 0.6487 0.3016
Li3 0.7325 0.6487 0.6984
Li4 0.7324 0.1486 0.1984
V1 0.2500 0.3510 0.0000
V2 0.2500 0.8510 0.5000
V3 0.7500 0.1259 0.5000
V4 0.7500 0.6257 0.0000

***

Arrangement Q

# LiVOF3 | Materials Project | PBE+U | relaxed
# - piezoelectric modulus e_max (C/m²) = 0.7
# - spin magnetization (μB/f.u.) = 1.00
# - SG = No. 4
data_LiVOF3
_space_group_name_H-M_alt 'P 1'
_space_group_IT_number 1
_space_group_name_Hall 'P 1'
_cell_length_a 5.3634
_cell_length_b 5.2769
_cell_length_c 5.9517
_cell_angle_alpha 90.00
_cell_angle_beta 116.33
_cell_angle_gamma 90.00
loop_
_atom_site_label
_atom_site_fract_x
_atom_site_fract_y
_atom_site_fract_z
Li1 0.2299 0.0000 0.4763
Li2 0.7701 0.5000 0.5237
V1 0.2305 0.2810 0.9990
V2 0.7695 0.7810 0.0010
O1 0.0118 0.5324 0.9542
O2 0.9882 0.0324 0.0458
F1 0.0713 0.2173 0.6394
F2 0.4340 0.2898 0.3589
F3 0.4656 0.9734 0.0213
F4 0.5344 0.4734 0.9787
F5 0.5660 0.7898 0.6411
F6 0.9287 0.7173 0.3606

***

Stability, lowest: arrangement P